No. 1
The following is a PBE calculation of a relaxed ScTi2Fe6 crystal, from the Materials Project.

- DFT total energy: -301.511 eV/cell
- Energy of formation: -0.27 eV/atom

Cell lengths 4.8356, 4.8356, 23.7583 Å; angles 90.00, 90.00, 120.00 degrees
Space group P3m1 (No. 156)
Asymmetric unit:
Sc 0.0000 0.0000 0.0000 (multiplicity 1)
Sc 0.0000 0.0000 0.3324 (multiplicity 1)
Sc 0.0000 0.0000 0.6645 (multiplicity 1)
Sc 0.6667 0.3333 0.7088 (multiplicity 1)
Ti 0.0000 0.0000 0.2063 (multiplicity 1)
Ti 0.0000 0.0000 0.5393 (multiplicity 1)
Ti 0.0000 0.0000 0.8744 (multiplicity 1)
Ti 0.6667 0.3333 0.0438 (multiplicity 1)
Ti 0.6667 0.3333 0.1670 (multiplicity 1)
Ti 0.6667 0.3333 0.3769 (multiplicity 1)
Ti 0.6667 0.3333 0.5000 (multiplicity 1)
Ti 0.6667 0.3333 0.8346 (multiplicity 1)
Fe 0.1640 0.3279 0.1054 (multiplicity 3)
Fe 0.1638 0.3276 0.4384 (multiplicity 3)
Fe 0.1642 0.3283 0.7733 (multiplicity 3)
Fe 0.3333 0.6667 0.0208 (multiplicity 1)
Fe 0.3333 0.6667 0.1872 (multiplicity 1)
Fe 0.3333 0.6667 0.3539 (multiplicity 1)
Fe 0.3333 0.6667 0.5198 (multiplicity 1)
Fe 0.3333 0.6667 0.6873 (multiplicity 1)
Fe 0.3333 0.6667 0.8545 (multiplicity 1)
Fe 0.5028 0.0057 0.6007 (multiplicity 3)
Fe 0.5031 0.0061 0.9362 (multiplicity 3)
Fe 0.5039 0.0077 0.2688 (multiplicity 3)

=====

No. 2
The following is a PBE calculation of a relaxed YScFe4 crystal, from the Materials Project.

- DFT total energy: -186.313 eV/cell
- Energy of formation: 0.02 eV/atom

Cell lengths 7.119, 7.119, 7.119 Å; angles 90.00, 90.00, 90.00 degrees
Space group F-43m (No. 216)
Asymmetric unit:
Y 0.000 0.000 0.000 (multiplicity 4)
Sc 0.250 0.250 0.750 (multiplicity 4)
Fe 0.125 0.125 0.375 (multiplicity 16)

=====

No. 3
The following is a PBE calculation of a relaxed ZrScFe4 crystal, from the Materials Project.

- DFT total energy: -202.074 eV/cell
- Energy of formation: -0.29 eV/atom

Cell lengths 7.022, 7.022, 7.022 Å; angles 90.00, 90.00, 90.00 degrees
Space group F-43m (No. 216)
Asymmetric unit:
Zr 0.000 0.000 0.000 (multiplicity 4)
Sc 0.250 0.250 0.750 (multiplicity 4)
Fe 0.125 0.125 0.375 (multiplicity 16)

=====

No. 4
The following is a PBE calculation of a relaxed FeSe2 crystal, from the Materials Project.

- DFT total energy: -33.054 eV/cell
- Energy of formation: -0.67 eV/atom

Cell lengths 4.809, 5.783, 3.601 Å; angles 90.00, 90.00, 90.00 degrees
Space group Pnnm (No. 58)
Asymmetric unit:
Fe 0.000 0.000 0.000 (multiplicity 2)
Se 0.218 0.367 0.000 (multiplicity 4)